Record 1
Material: Ca2CoWO6
Method: DFT, PBE with a Hubbard U
State: optimized geometry

a = 7.957 Å, b = 7.977 Å, c = 5.570 Å
α = 90.00°, β = 134.29°, γ = 90.00°
Space group Cm (No. 8)
Asymmetric unit:
1 Ca 0.000 0.248 0.000
2 Co 0.051 0.000 0.548
3 W 0.054 0.500 0.552
4 O 0.071 0.257 0.559
5 O 0.307 0.500 0.563
6 O 0.314 0.500 0.043
7 O 0.319 0.000 0.070
8 O 0.329 0.000 0.584

crystal system: monoclinic
energy of formation: -2.4953 eV per atom

---

Record 2
Material: Ca9Y3Co4O24
Method: DFT, PBE with a Hubbard U
State: optimized geometry

a = 6.359 Å, b = 6.366 Å, c = 12.655 Å
α = 88.26°, β = 88.88°, γ = 88.98°
Space group P1 (No. 1)
Asymmetric unit:
1 Ca 0.000 0.000 0.000
2 Ca 0.001 0.002 0.499
3 Ca 0.359 0.292 0.676
4 Ca 0.360 0.291 0.178
5 Ca 0.503 0.147 0.427
6 Ca 0.713 0.644 0.323
7 Ca 0.714 0.647 0.823
8 Ca 0.852 0.505 0.571
9 Ca 0.856 0.503 0.072
10 Y 0.212 0.791 0.250
11 Y 0.215 0.791 0.750
12 Y 0.501 0.149 0.927
13 Co 0.103 0.393 0.874
14 Co 0.105 0.395 0.374
15 Co 0.609 0.899 0.126
16 Co 0.610 0.900 0.626
17 O 0.041 0.682 0.406
18 O 0.042 0.678 0.907
19 O 0.044 0.464 0.235
20 O 0.045 0.460 0.735
21 O 0.178 0.109 0.336
22 O 0.179 0.104 0.840
23 O 0.179 0.337 0.509
24 O 0.184 0.330 0.008
25 O 0.325 0.966 0.089
26 O 0.325 0.966 0.593
27 O 0.384 0.479 0.340
28 O 0.388 0.464 0.841
29 O 0.527 0.621 0.158
30 O 0.528 0.626 0.660
31 O 0.539 0.961 0.264
32 O 0.539 0.965 0.771
33 O 0.667 0.834 0.987
34 O 0.671 0.824 0.488
35 O 0.673 0.180 0.089
36 O 0.679 0.173 0.595
37 O 0.822 0.323 0.906
38 O 0.828 0.324 0.408
39 O 0.894 0.827 0.663
40 O 0.894 0.829 0.163

distance to the lowest polymorph of the same formula: 0 meV/atom
crystal system: triclinic
energy of formation: -2.5441 eV per atom

---

Record 3
Material: Ca2YCoO5
Method: DFT, PBE with a Hubbard U
State: optimized geometry

a = 17.970 Å, b = 5.168 Å, c = 5.397 Å
α = 90.00°, β = 107.34°, γ = 90.00°
Space group C2 (No. 5)
Asymmetric unit:
1 Ca 0.097 0.000 0.119
2 Ca 0.098 0.497 0.579
3 Y 0.249 0.470 0.217
4 Co 0.000 0.004 0.500
5 Co 0.000 0.505 0.000
6 O 0.011 0.259 0.763
7 O 0.011 0.748 0.761
8 O 0.125 0.512 0.174
9 O 0.130 0.014 0.574
10 O 0.250 0.024 0.190

crystal system: monoclinic
energy of formation: -2.8067 eV per atom

---

Record 4
Material: Ca9Y3Co4O24
Method: DFT, PBE with a Hubbard U
State: optimized geometry

a = 6.307 Å, b = 8.851 Å, c = 9.041 Å
α = 89.74°, β = 88.75°, γ = 89.87°
Space group P1 (No. 1)
Asymmetric unit:
1 Ca 0.000 0.000 0.000
2 Ca 0.001 0.498 0.501
3 Ca 0.219 0.641 0.142
4 Ca 0.360 0.962 0.321
5 Ca 0.362 0.466 0.823
6 Ca 0.716 0.500 0.144
7 Ca 0.719 0.999 0.642
8 Ca 0.857 0.180 0.322
9 Ca 0.860 0.680 0.821
10 Y 0.217 0.143 0.641
11 Y 0.502 0.143 0.000
12 Y 0.502 0.642 0.501
13 Co 0.105 0.322 0.069
14 Co 0.106 0.820 0.570
15 Co 0.612 0.320 0.574
16 Co 0.612 0.820 0.074
17 O 0.039 0.489 0.963
18 O 0.044 0.996 0.464
19 O 0.045 0.422 0.246
20 O 0.048 0.930 0.744
21 O 0.180 0.210 0.890
22 O 0.180 0.713 0.397
23 O 0.188 0.151 0.172
24 O 0.190 0.651 0.677
25 O 0.329 0.390 0.570
26 O 0.336 0.894 0.065
27 O 0.392 0.889 0.574
28 O 0.393 0.385 0.072
29 O 0.529 0.151 0.469
30 O 0.535 0.652 0.965
31 O 0.541 0.212 0.750
32 O 0.544 0.715 0.252
33 O 0.671 0.430 0.399
34 O 0.673 0.931 0.898
35 O 0.676 0.998 0.179
36 O 0.677 0.497 0.678
37 O 0.823 0.252 0.067
38 O 0.824 0.753 0.566
39 O 0.885 0.754 0.077
40 O 0.896 0.250 0.577

distance to the lowest polymorph of the same formula: 3 meV/atom
crystal system: triclinic
energy of formation: -2.5413 eV per atom

---

Record 5
Material: CaLaCrCuO6
Method: DFT, PBE with a Hubbard U
State: optimized geometry

a = 5.472 Å, b = 5.552 Å, c = 9.427 Å
α = 90.00°, β = 125.42°, γ = 90.00°
Space group Pc (No. 7)
Asymmetric unit:
1 Ca 0.000 0.199 0.000
2 La 0.483 0.288 0.501
3 Cr 0.738 0.249 0.250
4 Cu 0.240 0.251 0.751
5 O 0.058 0.042 0.289
6 O 0.411 0.448 0.208
7 O 0.488 0.036 0.709
8 O 0.581 0.267 0.006
9 O 0.910 0.230 0.494
10 O 0.992 0.462 0.798

crystal system: monoclinic
energy of formation: -2.4556 eV per atom

---

Record 6
Material: CaCr4Cu3O12
Method: DFT, PBE with a Hubbard U
State: optimized geometry

a = 10.4450 Å, b = 10.4450 Å, c = 6.3863 Å
α = 90.00°, β = 90.00°, γ = 120.00°
Space group R-3 (No. 148, hexagonal axes)
Asymmetric unit:
1 Ca 0.0000 0.0000 0.0000
2 Cr 0.0000 0.0000 0.5000
3 Cr 0.0000 0.5000 0.5000
4 Cu 0.0000 0.5000 0.0000
5 O 0.0100 0.1611 0.6798
6 O 0.0471 0.2644 0.0939

crystal system: trigonal
energy of formation: -1.8948 eV per atom

---

Record 7
Material: CaCr2Cu2O8
Method: DFT, PBE with a Hubbard U
State: optimized geometry

a = 6.649 Å, b = 8.678 Å, c = 12.340 Å
α = 90.00°, β = 93.03°, γ = 90.00°
Space group P2_1/c (No. 14)
Asymmetric unit:
1 Ca 0.128 0.167 0.457
2 Cr 0.100 0.038 0.155
3 Cr 0.394 0.585 0.136
4 Cu 0.239 0.685 0.857
5 Cu 0.392 0.049 0.871
6 O 0.024 0.220 0.119
7 O 0.088 0.086 0.887
8 O 0.129 0.023 0.291
9 O 0.199 0.581 0.039
10 O 0.320 0.501 0.600
11 O 0.320 0.624 0.263
12 O 0.441 0.224 0.399
13 O 0.497 0.091 0.635

crystal system: monoclinic
energy of formation: -1.7633 eV per atom

---

Record 8
Material: CaCr2CuO7
Method: DFT, PBE with a Hubbard U
State: optimized geometry

a = 10.182 Å, b = 8.971 Å, c = 10.352 Å
α = 90.00°, β = 92.71°, γ = 90.00°
Space group P2/c (No. 13)
Asymmetric unit:
1 Ca 0.000 0.068 0.250
2 Ca 0.323 0.442 0.933
3 Cr 0.024 0.289 0.540
4 Cr 0.335 0.253 0.619
5 Cr 0.337 0.208 0.210
6 Cu 0.000 0.448 0.250
7 Cu 0.307 0.058 0.910
8 O 0.011 0.122 0.604
9 O 0.012 0.288 0.123
10 O 0.072 0.415 0.880
11 O 0.190 0.356 0.564
12 O 0.237 0.077 0.282
13 O 0.310 0.212 0.045
14 O 0.313 0.374 0.274
15 O 0.327 0.230 0.781
16 O 0.355 0.091 0.541
17 O 0.446 0.382 0.569
18 O 0.500 0.146 0.250

crystal system: monoclinic
energy of formation: -1.9483 eV per atom